DFT (PBE) results for an optimized crystal structure of Y9Ga5S21.

## Properties
The formation energy is -1.846 eV per atom. As for the total DFT energy (no corrections): -6.122 eV/atom. As for the symmetry: R3.

Unit cell a=11.502 b=11.502 c=11.502 alpha=94.23 beta=94.23 gamma=94.23
Fractional coordinates of all 70 atoms:
Y  0.027  0.174  0.799
Y  0.046  0.816  0.668
Y  0.138  0.986  0.362
Y  0.141  0.372  0.520
Y  0.174  0.799  0.027
Y  0.330  0.705  0.470
Y  0.362  0.138  0.986
Y  0.372  0.520  0.141
Y  0.460  0.691  0.837
Y  0.470  0.330  0.705
Y  0.520  0.141  0.372
Y  0.668  0.046  0.816
Y  0.691  0.837  0.460
Y  0.705  0.470  0.330
Y  0.799  0.027  0.174
Y  0.816  0.668  0.046
Y  0.837  0.460  0.691
Y  0.986  0.362  0.138
Ga  0.141  0.476  0.816
Ga  0.247  0.247  0.247
Ga  0.312  0.980  0.640
Ga  0.448  0.448  0.448
Ga  0.476  0.816  0.141
Ga  0.640  0.312  0.980
Ga  0.747  0.747  0.747
Ga  0.816  0.141  0.476
Ga  0.948  0.948  0.948
Ga  0.980  0.640  0.312
S  0.003  0.901  0.151
S  0.037  0.601  0.128
S  0.065  0.555  0.654
S  0.072  0.211  0.320
S  0.101  0.765  0.436
S  0.128  0.037  0.601
S  0.151  0.003  0.901
S  0.211  0.320  0.072
S  0.220  0.309  0.746
S  0.256  0.490  0.353
S  0.267  0.600  0.936
S  0.282  0.793  0.696
S  0.309  0.746  0.220
S  0.320  0.072  0.211
S  0.353  0.256  0.490
S  0.371  0.946  0.457
S  0.386  0.536  0.635
S  0.400  0.888  0.974
S  0.436  0.101  0.765
S  0.457  0.371  0.946
S  0.490  0.353  0.256
S  0.536  0.635  0.386
S  0.555  0.654  0.065
S  0.583  0.831  0.689
S  0.600  0.936  0.267
S  0.601  0.128  0.037
S  0.635  0.386  0.536
S  0.654  0.065  0.555
S  0.689  0.583  0.831
S  0.696  0.282  0.793
S  0.742  0.879  0.975
S  0.746  0.220  0.309
S  0.765  0.436  0.101
S  0.793  0.696  0.282
S  0.831  0.689  0.583
S  0.879  0.975  0.742
S  0.888  0.974  0.400
S  0.901  0.151  0.003
S  0.936  0.267  0.600
S  0.946  0.457  0.371
S  0.974  0.400  0.888
S  0.975  0.742  0.879



DFT (PBE) results for an optimized crystal structure of Zn2Ga2S5.

## Properties
The formation energy is -0.892 eV per atom. As for the total DFT energy (no corrections): -3.864 eV/atom. As for the symmetry: P6_3mc.

Unit cell a=3.743 b=3.743 c=30.387 alpha=90.00 beta=90.00 gamma=120.00
Fractional coordinates of all 18 atoms:
Zn  0.333  0.667  0.000
Zn  0.333  0.667  0.258
Zn  0.667  0.333  0.500
Zn  0.667  0.333  0.758
Ga  0.000  0.000  0.377
Ga  0.000  0.000  0.877
Ga  0.333  0.667  0.651
Ga  0.667  0.333  0.151
S  0.333  0.667  0.122
S  0.333  0.667  0.332
S  0.333  0.667  0.524
S  0.333  0.667  0.727
S  0.333  0.667  0.917
S  0.667  0.333  0.024
S  0.667  0.333  0.227
S  0.667  0.333  0.417
S  0.667  0.333  0.622
S  0.667  0.333  0.832



DFT (PBE) results for an optimized crystal structure of Zn3Ga2S6.

## Properties
The formation energy is -0.765 eV per atom. As for the total DFT energy (no corrections): -3.641 eV/atom. As for the symmetry: C2/c.

Unit cell a=8.798 b=8.798 c=6.880 alpha=98.52 beta=98.52 gamma=111.27
Fractional coordinates of all 22 atoms:
Zn  0.180  0.820  0.750
Zn  0.307  0.480  0.483
Zn  0.480  0.307  0.983
Zn  0.520  0.693  0.017
Zn  0.693  0.520  0.517
Zn  0.820  0.180  0.250
Ga  0.014  0.328  0.862
Ga  0.328  0.014  0.362
Ga  0.672  0.986  0.638
Ga  0.986  0.672  0.138
S  0.076  0.465  0.237
S  0.084  0.862  0.457
S  0.138  0.916  0.043
S  0.296  0.429  0.830
S  0.429  0.296  0.330
S  0.465  0.076  0.737
S  0.535  0.924  0.263
S  0.571  0.704  0.670
S  0.704  0.571  0.170
S  0.862  0.084  0.957
S  0.916  0.138  0.543
S  0.924  0.535  0.763



DFT (PBE) results for an optimized crystal structure of Zn4Ga2S7.

## Properties
The formation energy is -0.657 eV per atom. As for the total DFT energy (no corrections): -3.466 eV/atom. As for the symmetry: P2_1/m.

Unit cell a=9.691 b=6.967 c=9.829 alpha=90.00 beta=114.16 gamma=90.00
Fractional coordinates of all 26 atoms:
Zn  0.011  0.250  0.062
Zn  0.025  0.750  0.464
Zn  0.412  0.250  0.883
Zn  0.433  0.250  0.268
Zn  0.567  0.750  0.732
Zn  0.588  0.750  0.117
Zn  0.975  0.250  0.536
Zn  0.989  0.750  0.938
Ga  0.280  0.250  0.532
Ga  0.314  0.750  0.217
Ga  0.686  0.250  0.783
Ga  0.720  0.750  0.468
S  0.068  0.750  0.178
S  0.183  0.014  0.631
S  0.183  0.486  0.631
S  0.193  0.250  0.279
S  0.403  0.510  0.106
S  0.403  0.990  0.106
S  0.480  0.750  0.463
S  0.520  0.250  0.537
S  0.597  0.010  0.894
S  0.597  0.490  0.894
S  0.807  0.750  0.721
S  0.817  0.514  0.369
S  0.817  0.986  0.369
S  0.932  0.250  0.822



DFT (PBE) results for an optimized crystal structure of Zn2Ga2S5.

## Properties
The formation energy is -0.888 eV per atom. As for the total DFT energy (no corrections): -3.859 eV/atom. As for the symmetry: R-3m.

Unit cell a=15.254 b=15.254 c=15.254 alpha=13.91 beta=13.91 gamma=13.91
Fractional coordinates of all 9 atoms:
Zn  0.133  0.133  0.133
Zn  0.867  0.867  0.867
Ga  0.276  0.276  0.276
Ga  0.724  0.724  0.724
S  0.228  0.228  0.228
S  0.368  0.368  0.368
S  0.500  0.500  0.500
S  0.632  0.632  0.632
S  0.772  0.772  0.772



DFT (PBE) results for an optimized crystal structure of Zn2Ga2S5.

## Properties
The formation energy is -0.889 eV per atom. As for the total DFT energy (no corrections): -3.861 eV/atom. As for the symmetry: R3m.

Unit cell a=15.410 b=15.410 c=15.410 alpha=13.96 beta=13.96 gamma=13.96
Fractional coordinates of all 9 atoms:
Zn  0.000  0.000  0.000
Zn  0.172  0.172  0.172
Ga  0.404  0.404  0.404
Ga  0.587  0.587  0.587
S  0.091  0.091  0.091
S  0.228  0.228  0.228
S  0.354  0.354  0.354
S  0.489  0.489  0.489
S  0.951  0.951  0.951



DFT (PBE) results for an optimized crystal structure of Zn3Ga2S6.

## Properties
The formation energy is -0.912 eV per atom. As for the total DFT energy (no corrections): -3.788 eV/atom. As for the symmetry: P3m1.

Unit cell a=3.780 b=3.780 c=18.350 alpha=90.00 beta=90.00 gamma=120.00
Fractional coordinates of all 11 atoms:
Zn  0.000  0.000  0.000
Zn  0.000  0.000  0.427
Zn  0.667  0.333  0.602
Ga  0.333  0.667  0.803
Ga  0.667  0.333  0.176
S  0.000  0.000  0.222
S  0.000  0.000  0.563
S  0.000  0.000  0.877
S  0.667  0.333  0.049
S  0.667  0.333  0.386
S  0.667  0.333  0.737



DFT (PBE) results for an optimized crystal structure of Zn2Ga2S5.

## Properties
The formation energy is -0.890 eV per atom. As for the total DFT energy (no corrections): -3.861 eV/atom. As for the symmetry: P6_3/mmc.

Unit cell a=3.699 b=3.699 c=30.261 alpha=90.00 beta=90.00 gamma=120.00
Fractional coordinates of all 18 atoms:
Zn  0.000  0.000  0.201
Zn  0.000  0.000  0.299
Zn  0.000  0.000  0.701
Zn  0.000  0.000  0.799
Ga  0.333  0.667  0.086
Ga  0.333  0.667  0.414
Ga  0.667  0.333  0.586
Ga  0.667  0.333  0.914
S  0.333  0.667  0.160
S  0.333  0.667  0.340
S  0.333  0.667  0.553
S  0.333  0.667  0.750
S  0.333  0.667  0.947
S  0.667  0.333  0.053
S  0.667  0.333  0.250
S  0.667  0.333  0.447
S  0.667  0.333  0.660
S  0.667  0.333  0.840